Material: MgH4N2
Method: DFT, PBE-GGA
State: optimized geometry

Unit cell a=12.747 b=12.747 c=12.747 alpha=131.34 beta=131.34 gamma=71.28
Atoms (fractional coordinates):
H 0.429 0.190 0.174
H 0.593 0.631 0.423
H 0.662 0.154 0.608
H 0.346 0.838 0.392
H 0.190 0.397 0.641
H 0.704 0.596 0.008
H 0.810 0.984 0.239
H 0.690 0.049 0.793
H 0.244 0.484 0.174
H 0.546 0.054 0.392
H 0.162 0.554 0.508
H 0.647 0.940 0.141
H 0.147 0.006 0.707
H 0.310 0.071 0.826
H 0.042 0.119 0.462
H 0.821 0.494 0.261
H 0.330 0.292 0.423
H 0.494 0.353 0.293
H 0.756 0.549 0.359
H 0.446 0.954 0.608
H 0.451 0.810 0.207
H 0.046 0.654 0.492
H 0.420 0.958 0.077
H 0.516 0.690 0.761
H 0.881 0.343 0.923
H 0.904 0.796 0.992
H 0.804 0.912 0.008
H 0.103 0.310 0.359
H 0.321 0.060 0.326
H 0.299 0.440 0.293
H 0.588 0.696 0.992
H 0.560 0.853 0.859
H 0.204 0.196 0.108
H 0.369 0.792 0.962
H 0.846 0.454 0.508
H 0.657 0.580 0.538
H 0.157 0.619 0.077
H 0.256 0.897 0.207
H 0.093 0.670 0.962
H 0.208 0.170 0.577
H 0.940 0.266 0.261
H 0.830 0.407 0.038
H 0.506 0.766 0.326
H 0.381 0.458 0.538
H 0.016 0.256 0.826
H 0.994 0.701 0.141
H 0.440 0.179 0.674
H 0.060 0.201 0.707
H 0.920 0.843 0.462
H 0.869 0.907 0.577
H 0.234 0.560 0.739
H 0.708 0.131 0.038
H 0.542 0.080 0.923
H 0.929 0.756 0.239
H 0.734 0.994 0.674
H 0.951 0.744 0.641
H 0.799 0.506 0.859
H 0.603 0.244 0.793
H 0.744 0.571 0.761
H 0.404 0.412 0.108
H 0.946 0.338 0.492
H 0.304 0.296 0.892
H 0.006 0.679 0.739
H 0.088 0.096 0.892
Mg 0.452 0.432 0.763
Mg 0.939 0.419 0.737
Mg 0.811 0.831 0.763
Mg 0.081 0.561 0.263
Mg 0.298 0.818 0.737
Mg 0.439 0.702 0.520
Mg 0.182 0.919 0.480
Mg 0.568 0.331 0.020
Mg 0.169 0.932 0.980
Mg 0.669 0.689 0.237
Mg 0.682 0.202 0.263
Mg 0.311 0.548 0.980
Mg 0.581 0.318 0.520
Mg 0.798 0.061 0.480
Mg 0.068 0.048 0.237
Mg 0.952 0.189 0.020
N 0.625 0.667 0.542
N 0.135 0.635 0.500
N 0.234 0.978 0.710
N 0.482 0.727 0.210
N 0.522 0.266 0.290
N 0.773 0.018 0.790
N 0.477 0.766 0.744
N 0.268 0.523 0.290
N 0.016 0.227 0.244
N 0.125 0.583 0.958
N 0.728 0.518 0.244
N 0.417 0.375 0.542
N 0.977 0.232 0.710
N 0.333 0.875 0.958
N 0.516 0.272 0.790
N 0.768 0.478 0.744
N 0.865 0.365 0.500
N 0.022 0.732 0.256
N 0.734 0.023 0.256
N 0.917 0.375 0.042
N 0.365 0.865 0.500
N 0.635 0.135 0.500
N 0.982 0.772 0.756
N 0.833 0.875 0.458
N 0.885 0.885 0.000
N 0.625 0.167 0.042
N 0.115 0.115 0.000
N 0.615 0.615 0.000
N 0.385 0.385 0.000
N 0.125 0.083 0.458
N 0.273 0.484 0.756
N 0.228 0.984 0.210


Material: MgH32N8O4
Method: DFT, PBE-GGA
State: optimized geometry

Unit cell a=9.787 b=10.318 c=4.735 alpha=81.40 beta=91.21 gamma=94.17
Atoms (fractional coordinates):
H 0.819 0.905 0.172
H 0.926 0.847 0.694
H 0.397 0.442 0.756
H 0.378 0.635 0.443
H 0.549 0.942 0.622
H 0.607 0.377 0.934
H 0.851 0.377 0.856
H 0.515 0.158 0.174
H 0.666 0.833 0.708
H 0.972 0.328 0.089
H 0.006 0.368 0.747
H 0.237 0.478 0.791
H 0.177 0.877 0.859
H 0.005 0.672 0.423
H 0.374 0.158 0.349
H 0.311 0.857 0.076
H 0.151 0.684 0.254
H 0.754 0.560 0.208
H 0.363 0.566 0.923
H 0.036 0.564 0.205
H 0.518 0.812 0.875
H 0.842 0.034 0.345
H 0.615 0.618 0.319
H 0.708 0.019 0.121
H 0.474 0.763 0.426
H 0.180 0.042 0.094
H 0.520 0.209 0.487
H 0.761 0.628 0.501
H 0.318 0.970 0.785
H 0.954 0.725 0.928
H 0.646 0.432 0.610
H 0.084 0.100 0.329
N 0.475 0.140 0.375
N 0.952 0.394 0.911
N 0.048 0.661 0.233
N 0.563 0.844 0.682
N 0.257 0.927 0.950
N 0.335 0.518 0.754
N 0.810 0.005 0.150
N 0.700 0.569 0.386
O 0.119 0.116 0.127
O 0.419 0.708 0.297
O 0.613 0.350 0.747
O 0.896 0.753 0.752
Mg 0.962 0.099 0.827


Material: MgP2H10N2O8
Method: DFT, PBE-GGA
State: optimized geometry

Unit cell a=10.579 b=6.494 c=12.908 alpha=75.92 beta=90.00 gamma=90.00
Atoms (fractional coordinates):
H 0.314 0.679 0.111
H 0.937 0.600 0.240
H 0.467 0.080 0.715
H 0.281 0.642 0.452
H 0.719 0.358 0.548
H 0.828 0.349 0.634
H 0.158 0.483 0.836
H 0.312 0.377 0.632
H 0.188 0.377 0.132
H 0.842 0.517 0.164
H 0.688 0.623 0.368
H 0.437 0.400 0.260
H 0.414 0.561 0.612
H 0.033 0.080 0.215
H 0.186 0.679 0.611
H 0.342 0.483 0.336
H 0.533 0.920 0.285
H 0.812 0.623 0.868
H 0.914 0.439 0.888
H 0.967 0.920 0.785
H 0.043 0.305 0.568
H 0.054 0.031 0.102
H 0.814 0.321 0.389
H 0.328 0.651 0.866
H 0.957 0.695 0.432
H 0.554 0.969 0.398
H 0.946 0.969 0.898
H 0.446 0.031 0.602
H 0.672 0.349 0.134
H 0.063 0.400 0.760
H 0.686 0.321 0.889
H 0.219 0.642 0.952
H 0.586 0.439 0.388
H 0.781 0.358 0.048
H 0.172 0.651 0.366
H 0.457 0.305 0.068
H 0.658 0.517 0.664
H 0.543 0.695 0.932
H 0.563 0.600 0.740
H 0.086 0.561 0.112
N 0.582 0.784 0.980
N 0.082 0.216 0.520
N 0.918 0.784 0.480
N 0.880 0.203 0.392
N 0.120 0.797 0.608
N 0.380 0.797 0.108
N 0.418 0.216 0.020
N 0.620 0.203 0.892
O 0.719 0.897 0.816
O 0.329 0.525 0.593
O 0.742 0.294 0.623
O 0.829 0.475 0.907
O 0.758 0.294 0.123
O 0.801 0.976 0.989
O 0.489 0.946 0.348
O 0.468 0.514 0.852
O 0.242 0.706 0.877
O 0.032 0.514 0.352
O 0.258 0.706 0.377
O 0.171 0.525 0.093
O 0.111 0.139 0.336
O 0.968 0.486 0.648
O 0.671 0.475 0.407
O 0.219 0.103 0.684
O 0.888 0.644 0.172
O 0.989 0.054 0.152
O 0.011 0.946 0.848
O 0.611 0.861 0.164
O 0.889 0.861 0.664
O 0.699 0.976 0.489
O 0.388 0.356 0.328
O 0.781 0.897 0.316
O 0.511 0.054 0.652
O 0.389 0.139 0.836
O 0.532 0.486 0.148
O 0.612 0.644 0.672
O 0.112 0.356 0.828
O 0.301 0.024 0.511
O 0.281 0.103 0.184
O 0.199 0.024 0.011
P 0.688 0.962 0.918
P 0.468 0.273 0.893
P 0.032 0.273 0.393
P 0.812 0.962 0.418
P 0.188 0.038 0.582
P 0.532 0.727 0.107
P 0.968 0.727 0.607
P 0.312 0.038 0.082
Mg 0.802 0.952 0.154
Mg 0.302 0.048 0.346
Mg 0.198 0.048 0.846
Mg 0.698 0.952 0.654


Material: MgPH16NO10
Method: DFT, PBE-GGA
State: optimized geometry

Unit cell a=6.094 b=7.056 c=11.287 alpha=90.00 beta=90.00 gamma=90.00
Atoms (fractional coordinates):
H 0.641 0.254 0.000
H 0.830 0.684 0.701
H 0.004 0.383 0.001
H 0.539 0.881 0.248
H 0.782 0.000 0.216
H 0.359 0.246 0.500
H 0.461 0.619 0.748
H 0.641 0.746 0.000
H 0.285 0.000 0.804
H 0.797 0.803 0.822
H 0.170 0.816 0.201
H 0.663 0.000 0.356
H 0.539 0.119 0.248
H 0.996 0.117 0.501
H 0.359 0.754 0.500
H 0.218 0.500 0.716
H 0.176 0.000 0.674
H 0.203 0.303 0.322
H 0.797 0.197 0.822
H 0.605 0.321 0.489
H 0.395 0.821 0.989
H 0.203 0.697 0.322
H 0.004 0.617 0.001
H 0.715 0.500 0.304
H 0.395 0.179 0.989
H 0.337 0.500 0.856
H 0.170 0.184 0.201
H 0.605 0.679 0.489
H 0.461 0.381 0.748
H 0.824 0.500 0.174
H 0.830 0.316 0.701
H 0.996 0.883 0.501
O 0.110 0.319 0.456
O 0.110 0.681 0.456
O 0.262 0.716 0.239
O 0.516 0.794 0.511
O 0.262 0.284 0.239
O 0.890 0.819 0.956
O 0.484 0.706 0.011
O 0.484 0.294 0.011
O 0.738 0.784 0.739
O 0.934 0.000 0.540
O 0.683 0.500 0.216
O 0.516 0.206 0.511
O 0.317 0.000 0.716
O 0.890 0.181 0.956
O 0.024 0.000 0.138
O 0.249 0.000 0.948
O 0.976 0.500 0.638
O 0.738 0.216 0.739
O 0.751 0.500 0.448
O 0.066 0.500 0.040
N 0.366 0.500 0.766
N 0.634 0.000 0.266
P 0.989 0.500 0.500
P 0.011 0.000 0.000
Mg 0.375 0.500 0.128
Mg 0.625 0.000 0.628


Material: MgP4H24N8O8
Method: DFT, PBE-GGA
State: optimized geometry

Unit cell a=8.073 b=8.544 c=7.212 alpha=92.68 beta=115.44 gamma=90.11
Atoms (fractional coordinates):
O 0.906 0.555 0.664
O 0.286 0.041 0.608
O 0.704 0.546 0.863
O 0.287 0.464 0.096
O 0.117 0.011 0.849
O 0.092 0.476 0.306
O 0.894 0.955 0.192
O 0.711 0.939 0.412
H 0.060 0.795 0.179
H 0.653 0.732 0.281
H 0.081 0.697 0.674
H 0.313 0.237 0.240
H 0.959 0.223 0.830
H 0.444 0.078 0.298
H 0.189 0.779 0.050
H 0.533 0.913 0.728
H 0.521 0.561 0.213
H 0.755 0.243 0.845
H 0.753 0.915 0.905
H 0.461 0.456 0.751
H 0.335 0.290 0.703
H 0.699 0.892 0.646
H 0.272 0.086 0.371
H 0.199 0.726 0.535
H 0.833 0.248 0.511
H 0.745 0.569 0.401
H 0.955 0.268 0.372
H 0.660 0.744 0.778
H 0.237 0.449 0.561
H 0.696 0.581 0.144
H 0.289 0.444 0.823
H 0.230 0.067 0.108
P 0.126 0.535 0.129
P 0.880 0.003 0.391
P 0.873 0.486 0.837
P 0.142 0.959 0.658
N 0.844 0.290 0.790
N 0.661 0.865 0.762
N 0.653 0.610 0.258
N 0.328 0.411 0.707
N 0.857 0.202 0.390
N 0.160 0.730 0.160
N 0.179 0.767 0.659
N 0.313 0.117 0.255
Mg 0.616 0.187 0.067


no.,theoretical density (g/cm³),total DFT energy (no corrections) (eV per cell)
1,1.310,-568.92
2,0.819,-218.09
3,1.949,-530.99
4,1.679,-311.11
5,1.527,-245.43